Compound: Zr
Source: Materials Project
Functional: GGA-PBE
Structure: optimized geometry

Cell and atoms, written as CIF:
```
data_Zr
_chemical_formula_sum 'Zr2'
_symmetry_space_group_name_H-M 'P 63/m m c'
_symmetry_Int_Tables_number 194
_symmetry_space_group_name_Hall '-P 6c 2c'
_cell_length_a 3.2392
_cell_length_b 3.2392
_cell_length_c 5.1722
_cell_angle_alpha 90.00
_cell_angle_beta 90.00
_cell_angle_gamma 120.00
loop_
_atom_site_label
_atom_site_type_symbol
_atom_site_fract_x
_atom_site_fract_y
_atom_site_fract_z
Zr1 Zr 0.3333 0.6667 0.2500
```

Values from the calculation:
**DFT formation energy**: 0.000 eV per atom
**Volume**: 47.0 Å³/cell
**Electronic total energy**: -17.1 eV for the cell shown
**Excess energy over the best structure of this formula in the dataset**: 0.0000 eV per atom
**Theoretical density**: 6.45 g/cm3